(1)
Compound: KNaSr8B6O18
Source: the Materials Project
Functional: PBE
Structure: relaxed Values from VASP.

Quantum ESPRESSO input file:
```
&SYSTEM
  ibrav = 0, nat = 34, ntyp = 5
/
ATOMIC_SPECIES
O 16.00 O.upf
B 10.81 B.upf
Na 22.99 Na.upf
Sr 87.62 Sr.upf
K 39.10 K.upf
ATOMIC_POSITIONS crystal
O 0.393 0.425 0.624
O 0.724 0.705 0.804
O 0.393 0.004 0.328
O 0.500 0.084 0.717
O 0.254 0.905 0.002
O 0.276 0.705 0.804
O 0.000 0.449 0.902
O 0.500 0.352 0.102
O 0.108 0.338 0.668
O 0.224 0.509 0.195
O 0.607 0.004 0.328
O 0.108 0.051 0.372
O 0.607 0.425 0.624
O 0.892 0.051 0.372
O 0.892 0.338 0.668
O 0.746 0.905 0.002
O 0.000 0.798 0.289
O 0.776 0.509 0.195
B 0.500 0.307 0.659
B 0.000 0.967 0.340
B 0.500 0.128 0.250
B 0.748 0.707 0.001
B 0.252 0.707 0.001
B 0.000 0.381 0.748
Na 0.500 0.770 0.171
Sr 0.500 0.700 0.716
Sr 0.250 0.277 0.000
Sr 0.281 0.139 0.569
Sr 0.750 0.277 0.000
Sr 0.719 0.139 0.569
Sr 0.000 0.413 0.287
Sr 0.780 0.708 0.429
Sr 0.220 0.708 0.429
K 0.000 0.912 0.833
CELL_PARAMETERS angstrom
-8.905 5.206 4.265
2.595 -0.791 6.383
4.137 4.878 2.684
```

crystal system = monoclinic
VASP energy = -7.02 eV/atom
total energy after the MP2020 corrections = -7.380 eV/atom
energy of formation from the pure elements = -105.84 eV per formula unit


(2)
Compound: K3NdB2O6
Source: the Materials Project
Functional: PBE
Structure: relaxed Values from VASP.

Quantum ESPRESSO input file:
```
&SYSTEM
  ibrav = 0, nat = 48, ntyp = 4
/
ATOMIC_SPECIES
B 10.81 B.upf
O 16.00 O.upf
Nd 144.24 Nd.upf
K 39.10 K.upf
ATOMIC_POSITIONS crystal
B 0.750 0.438 0.374
B 0.750 0.938 0.126
B 0.750 0.411 0.883
B 0.250 0.589 0.117
B 0.750 0.911 0.617
B 0.250 0.062 0.874
B 0.250 0.562 0.626
B 0.250 0.089 0.383
O 0.250 0.660 0.533
O 0.250 0.412 0.615
O 0.750 0.991 0.512
O 0.917 0.372 0.830
O 0.750 0.840 0.033
O 0.083 0.628 0.170
O 0.250 0.509 0.012
O 0.250 0.621 0.741
O 0.083 0.128 0.330
O 0.583 0.372 0.830
O 0.750 0.588 0.385
O 0.583 0.872 0.670
O 0.750 0.340 0.467
O 0.917 0.872 0.670
O 0.750 0.379 0.259
O 0.250 0.912 0.885
O 0.750 0.879 0.241
O 0.750 0.491 0.988
O 0.417 0.128 0.330
O 0.250 0.121 0.759
O 0.250 0.009 0.488
O 0.417 0.628 0.170
O 0.250 0.160 0.967
O 0.750 0.088 0.115
Nd 0.750 0.126 0.331
Nd 0.250 0.374 0.831
Nd 0.750 0.626 0.169
Nd 0.250 0.874 0.669
K 0.250 0.439 0.370
K 0.496 0.800 0.402
K 0.004 0.800 0.402
K 0.250 0.939 0.130
K 0.996 0.200 0.598
K 0.504 0.200 0.598
K 0.750 0.061 0.870
K 0.004 0.300 0.098
K 0.750 0.561 0.630
K 0.496 0.300 0.098
K 0.504 0.700 0.902
K 0.996 0.700 0.902
CELL_PARAMETERS angstrom
7.252 0.000 0.000
0.000 9.157 0.000
0.000 0.000 11.339
```

crystal system = orthorhombic
VASP energy = -6.72 eV/atom
total energy after the MP2020 corrections = -7.068 eV/atom
energy of formation from the pure elements = -33.67 eV per formula unit


(3)
Compound: KBO2
Source: the Materials Project
Functional: PBE
Structure: relaxed Values from VASP.

Quantum ESPRESSO input file:
```
&SYSTEM
  ibrav = 0, nat = 24, ntyp = 3
/
ATOMIC_SPECIES
K 39.10 K.upf
O 16.00 O.upf
B 10.81 B.upf
ATOMIC_POSITIONS crystal
K 0.250 0.810 0.690
K 0.310 0.750 0.190
K 0.750 0.190 0.310
K 0.690 0.250 0.810
K 0.190 0.310 0.750
K 0.810 0.690 0.250
O 0.750 0.642 0.858
O 0.966 0.534 0.750
O 0.142 0.250 0.358
O 0.250 0.358 0.142
O 0.750 0.966 0.534
O 0.642 0.858 0.750
O 0.034 0.466 0.250
O 0.250 0.034 0.466
O 0.534 0.750 0.966
O 0.466 0.250 0.034
O 0.858 0.750 0.642
O 0.358 0.142 0.250
B 0.750 0.863 0.637
B 0.250 0.137 0.363
B 0.137 0.363 0.250
B 0.363 0.250 0.137
B 0.863 0.637 0.750
B 0.637 0.750 0.863
CELL_PARAMETERS angstrom
-6.347 2.897 -3.603
-1.244 -7.452 2.139
1.806 4.369 6.270
```

crystal system = trigonal
VASP energy = -6.73 eV/atom
total energy after the MP2020 corrections = -7.071 eV/atom
energy of formation from the pure elements = -10.60 eV per formula unit


(4)
Compound: KB5O12
Source: the Materials Project
Functional: PBE
Structure: relaxed Values from VASP.

Quantum ESPRESSO input file:
```
&SYSTEM
  ibrav = 0, nat = 36, ntyp = 3
/
ATOMIC_SPECIES
K 39.10 K.upf
B 10.81 B.upf
O 16.00 O.upf
ATOMIC_POSITIONS crystal
K 0.539 0.539 0.500
K 0.039 0.039 0.000
B 0.396 0.396 0.000
B 0.896 0.896 0.500
B 0.921 0.067 0.700
B 0.567 0.421 0.200
B 0.908 0.740 0.699
B 0.421 0.567 0.800
B 0.067 0.921 0.300
B 0.408 0.240 0.801
B 0.740 0.908 0.301
B 0.240 0.408 0.199
O 0.906 0.561 0.769
O 0.430 0.396 0.732
O 0.892 0.063 0.576
O 0.222 0.387 0.078
O 0.915 0.576 0.889
O 0.061 0.406 0.269
O 0.945 0.219 0.772
O 0.896 0.930 0.232
O 0.392 0.563 0.924
O 0.406 0.061 0.731
O 0.576 0.915 0.111
O 0.930 0.896 0.768
O 0.387 0.222 0.922
O 0.561 0.906 0.231
O 0.063 0.892 0.424
O 0.445 0.719 0.728
O 0.563 0.392 0.076
O 0.719 0.445 0.272
O 0.396 0.430 0.268
O 0.722 0.887 0.422
O 0.415 0.076 0.611
O 0.076 0.415 0.389
O 0.219 0.945 0.228
O 0.887 0.722 0.578
CELL_PARAMETERS angstrom
-4.092 0.163 -5.938
-5.473 -2.544 3.950
-3.013 10.137 2.354
```

crystal system = orthorhombic
VASP energy = -6.80 eV/atom
total energy after the MP2020 corrections = -6.903 eV/atom
energy of formation from the pure elements = -30.36 eV per formula unit


(5)
Compound: KB3O5
Source: the Materials Project
Functional: PBE
Structure: relaxed Values from VASP.

Quantum ESPRESSO input file:
```
&SYSTEM
  ibrav = 0, nat = 108, ntyp = 3
/
ATOMIC_SPECIES
O 16.00 O.upf
B 10.81 B.upf
K 39.10 K.upf
ATOMIC_POSITIONS crystal
O 0.122 0.304 0.378
O 0.622 0.696 0.122
O 0.096 0.379 0.664
O 0.372 0.679 0.755
O 0.685 0.875 0.564
O 0.087 0.527 0.751
O 0.573 0.230 0.791
O 0.712 0.640 0.530
O 0.189 0.895 0.413
O 0.839 0.942 0.392
O 0.772 0.398 0.846
O 0.788 0.640 0.030
O 0.547 0.736 0.956
O 0.195 0.088 0.331
O 0.904 0.621 0.336
O 0.999 0.983 0.869
O 0.587 0.473 0.749
O 0.161 0.058 0.608
O 0.927 0.230 0.291
O 0.878 0.696 0.622
O 0.233 0.460 0.069
O 0.212 0.360 0.970
O 0.315 0.125 0.436
O 0.733 0.540 0.431
O 0.596 0.621 0.836
O 0.596 0.773 0.434
O 0.311 0.895 0.913
O 0.404 0.379 0.164
O 0.872 0.321 0.745
O 0.339 0.058 0.108
O 0.305 0.088 0.831
O 0.073 0.770 0.709
O 0.661 0.942 0.892
O 0.228 0.602 0.154
O 0.404 0.227 0.566
O 0.047 0.264 0.544
O 0.904 0.773 0.934
O 0.413 0.527 0.251
O 0.272 0.602 0.654
O 0.001 0.017 0.131
O 0.689 0.105 0.087
O 0.815 0.875 0.064
O 0.728 0.398 0.346
O 0.695 0.912 0.169
O 0.628 0.321 0.245
O 0.185 0.125 0.936
O 0.501 0.983 0.369
O 0.288 0.360 0.470
O 0.096 0.227 0.066
O 0.453 0.264 0.044
O 0.811 0.105 0.587
O 0.805 0.912 0.669
O 0.427 0.770 0.209
O 0.953 0.736 0.456
O 0.913 0.473 0.249
O 0.499 0.017 0.631
O 0.378 0.304 0.878
O 0.128 0.679 0.255
O 0.267 0.460 0.569
O 0.767 0.540 0.931
B 0.751 0.673 0.462
B 0.702 0.978 0.613
B 0.742 0.740 0.071
B 0.507 0.858 0.920
B 0.289 0.481 0.129
B 0.579 0.792 0.167
B 0.639 0.897 0.400
B 0.789 0.519 0.371
B 0.139 0.103 0.100
B 0.421 0.208 0.833
B 0.249 0.327 0.538
B 0.703 0.358 0.784
B 0.981 0.588 0.277
B 0.711 0.519 0.871
B 0.758 0.740 0.571
B 0.079 0.208 0.333
B 0.493 0.142 0.080
B 0.019 0.412 0.723
B 0.361 0.103 0.600
B 0.861 0.897 0.900
B 0.007 0.142 0.580
B 0.251 0.327 0.038
B 0.519 0.588 0.777
B 0.481 0.412 0.223
B 0.921 0.792 0.667
B 0.297 0.642 0.216
B 0.993 0.858 0.420
B 0.203 0.642 0.716
B 0.749 0.673 0.962
B 0.258 0.260 0.929
B 0.211 0.481 0.629
B 0.298 0.022 0.387
B 0.242 0.260 0.429
B 0.202 0.022 0.887
B 0.798 0.978 0.113
B 0.797 0.358 0.284
K 0.301 0.762 0.536
K 0.547 0.936 0.763
K 0.047 0.064 0.737
K 0.699 0.238 0.464
K 0.953 0.936 0.263
K 0.687 0.402 0.618
K 0.813 0.402 0.118
K 0.187 0.598 0.882
K 0.453 0.064 0.237
K 0.801 0.238 0.964
K 0.313 0.598 0.382
K 0.199 0.762 0.036
CELL_PARAMETERS angstrom
6.734 0.000 0.000
0.000 9.429 0.000
0.000 1.709 21.376
```

offset from the most stable computed form = 0.0 kJ per mole of atoms
crystal system = monoclinic
VASP energy = -7.53 eV/atom
total energy after the MP2020 corrections = -7.913 eV/atom
energy of formation from the pure elements = -25.33 eV per formula unit


(6)
Compound: KB3O5
Source: the Materials Project
Functional: PBE
Structure: relaxed Values from VASP.

Quantum ESPRESSO input file:
```
&SYSTEM
  ibrav = 0, nat = 36, ntyp = 3
/
ATOMIC_SPECIES
O 16.00 O.upf
B 10.81 B.upf
K 39.10 K.upf
ATOMIC_POSITIONS crystal
O 0.588 0.764 0.205
O 0.885 0.289 0.595
O 0.588 0.907 0.753
O 0.764 0.588 0.705
O 0.236 0.412 0.295
O 0.289 0.885 0.095
O 0.095 0.068 0.899
O 0.711 0.115 0.905
O 0.114 0.218 0.127
O 0.905 0.932 0.101
O 0.412 0.093 0.247
O 0.932 0.905 0.601
O 0.412 0.236 0.795
O 0.068 0.095 0.399
O 0.907 0.588 0.253
O 0.886 0.782 0.873
O 0.782 0.886 0.373
O 0.115 0.711 0.405
O 0.218 0.114 0.627
O 0.093 0.412 0.747
B 0.916 0.431 0.682
B 0.431 0.916 0.182
B 0.882 0.965 0.936
B 0.569 0.084 0.818
B 0.210 0.207 0.760
B 0.793 0.790 0.740
B 0.207 0.210 0.260
B 0.118 0.035 0.064
B 0.790 0.793 0.240
B 0.965 0.882 0.436
B 0.084 0.569 0.318
B 0.035 0.118 0.564
K 0.416 0.740 0.559
K 0.584 0.260 0.441
K 0.740 0.416 0.059
K 0.260 0.584 0.941
CELL_PARAMETERS angstrom
-2.843 -5.312 2.610
1.530 1.489 6.209
-7.958 3.608 2.851
```

offset from the most stable computed form = 2.0 kJ per mole of atoms
crystal system = monoclinic
VASP energy = -7.51 eV/atom
total energy after the MP2020 corrections = -7.892 eV/atom
energy of formation from the pure elements = -25.14 eV per formula unit


(7)
Compound: KBS2O8
Source: the Materials Project
Functional: PBE
Structure: relaxed Values from VASP.

Quantum ESPRESSO input file:
```
&SYSTEM
  ibrav = 0, nat = 48, ntyp = 4
/
ATOMIC_SPECIES
S 32.06 S.upf
B 10.81 B.upf
O 16.00 O.upf
K 39.10 K.upf
ATOMIC_POSITIONS crystal
S 0.654 0.654 0.250
S 0.154 0.846 0.250
S 0.154 0.154 0.750
S 0.846 0.846 0.750
S 0.846 0.154 0.250
S 0.346 0.346 0.250
S 0.346 0.654 0.750
S 0.654 0.346 0.750
B 0.500 0.500 0.500
B 0.000 0.000 0.500
B 0.000 0.000 0.000
B 0.500 0.500 0.000
O 0.629 0.467 0.608
O 0.871 0.967 0.892
O 0.371 0.467 0.108
O 0.533 0.629 0.392
O 0.967 0.129 0.108
O 0.126 0.296 0.822
O 0.467 0.371 0.392
O 0.704 0.874 0.678
O 0.129 0.033 0.892
O 0.874 0.704 0.822
O 0.204 0.374 0.322
O 0.371 0.533 0.608
O 0.796 0.374 0.822
O 0.296 0.126 0.678
O 0.626 0.796 0.178
O 0.374 0.796 0.678
O 0.374 0.204 0.178
O 0.704 0.126 0.178
O 0.629 0.533 0.108
O 0.796 0.626 0.322
O 0.129 0.967 0.392
O 0.467 0.629 0.892
O 0.874 0.296 0.322
O 0.533 0.371 0.892
O 0.626 0.204 0.678
O 0.967 0.871 0.608
O 0.033 0.129 0.608
O 0.296 0.874 0.178
O 0.204 0.626 0.822
O 0.126 0.704 0.322
O 0.033 0.871 0.108
O 0.871 0.033 0.392
K 0.500 0.000 0.436
K 0.500 0.000 0.936
K 0.000 0.500 0.064
K 0.000 0.500 0.564
CELL_PARAMETERS angstrom
9.226 0.000 0.000
0.000 9.226 0.000
0.000 0.000 7.543
```

crystal system = tetragonal
VASP energy = -6.32 eV/atom
total energy after the MP2020 corrections = -6.778 eV/atom
energy of formation from the pure elements = -25.69 eV per formula unit